The following is a DFT calculation (GGA-PBE) of a geometry-optimized Ba2MgTiO4 structure.

## Properties
Its MP2020-corrected energy is -55.74 eV per cell. Its formation enthalpy at 0 K is -273 kJ per mole of atoms. Its final energy is -52.99 eV per cell. Its space-group type is No. 8. The crystal system is monoclinic. The calculation puts the total magnetization at 0.49 μB/cell. The value obtained for the energy above the most stable polymorph in this dataset is 0.0 meV/atom.

Lattice parameters (Å, degrees): 3.792 3.788 11.173 90.04 90.04 90.04
Atoms (fractional coordinates):
1 Mg 0.837 0.844 0.830
2 Ti 0.337 0.344 0.698
3 O 0.335 0.343 0.534
4 O 0.837 0.344 0.755
5 O 0.336 0.844 0.755
6 O 0.836 0.844 0.005
7 Ba 0.336 0.344 0.073
8 Ba 0.834 0.842 0.451